(1)
## ZnMo2O4 (PBE+U)

Data for ZnMo2O4 after structural relaxation.

Calculated values
Calculated formation energy   -1.72 eV/atom
Polymorph energy (0 for the lowest one)   0.064 eV per atom

Lattice parameters (Å, degrees): 6.3130 6.4507 15.3065 91.91 90.49 119.29
With the nearest neighbours (Å) after each atom.
Space group P1 (No. 1)
Symmetry-distinct sites (fractional):
Zn (0.0000, 0.0000, 0.0000) [1 per cell]  6 O 2.11-2.25
Zn (0.0018, 0.0058, 0.3726) [1 per cell]  4 O 2.04-2.09
Zn (0.3366, 0.6687, 0.7097) [1 per cell]  4 O 2.05-2.08
Zn (0.6589, 0.3240, 0.0442) [1 per cell]  4 O 2.04-2.11
Zn (0.6618, 0.3307, 0.2861) [1 per cell]  4 O 2.06-2.08
Zn (0.6720, 0.3412, 0.6680) [1 per cell]  6 O 2.13-2.25
Mo (0.0063, 0.5102, 0.4982) [1 per cell]  6 O 2.13-2.20
Mo (0.0084, 0.0052, 0.6197) [1 per cell]  4 O 2.09-2.10
Mo (0.1538, 0.3180, 0.1636) [1 per cell]  6 O 2.16-2.20
Mo (0.1549, 0.8254, 0.1619) [1 per cell]  6 O 2.16-2.21
Mo (0.3324, 0.6701, 0.3303) [1 per cell]  6 O 2.17-2.20
Mo (0.3388, 0.1676, 0.8305) [1 per cell]  6 O 2.15-2.20
Mo (0.3415, 0.6625, 0.9517) [1 per cell]  4 O 2.08-2.11
Mo (0.5077, 0.5109, 0.4977) [1 per cell]  6 O 2.12-2.20
Mo (0.5089, 0.0135, 0.4988) [1 per cell]  6 O 2.17-2.20
Mo (0.6599, 0.8253, 0.1621) [1 per cell]  6 O 2.16-2.21
Mo (0.8357, 0.1695, 0.8293) [1 per cell]  6 O 2.13-2.20
Mo (0.8357, 0.6631, 0.8320) [1 per cell]  6 O 2.16-2.19
O (0.0130, 0.5108, 0.2434) [1 per cell]  1 Zn 2.06, 3 Mo 2.17-2.21
O (0.1515, 0.2976, 0.9183) [1 per cell]  3 Mo 2.09-2.20, 1 Zn 2.13
O (0.1748, 0.8287, 0.4196) [1 per cell]  1 Zn 2.07, 3 Mo 2.18-2.20
O (0.1779, 0.8577, 0.9074) [1 per cell]  3 Mo 2.10-2.19, 1 Zn 2.25
O (0.1815, 0.3640, 0.4143) [1 per cell]  1 Zn 2.09, 3 Mo 2.17-2.19
O (0.3075, 0.1414, 0.0855) [1 per cell]  2 Zn 2.06-2.11, 2 Mo 2.16-2.17
O (0.3100, 0.6354, 0.0888) [1 per cell]  4 Mo 2.11-2.20
O (0.3474, 0.6883, 0.5742) [1 per cell]  1 Zn 2.08, 3 Mo 2.18-2.20
O (0.3599, 0.2028, 0.5732) [1 per cell]  3 Mo 2.09-2.17, 1 Zn 2.22
O (0.4829, 0.9732, 0.2467) [1 per cell]  1 Zn 2.07, 3 Mo 2.18-2.20
O (0.4896, 0.5115, 0.2439) [1 per cell]  1 Zn 2.06, 3 Mo 2.17-2.21
O (0.5026, 0.4847, 0.7530) [1 per cell]  2 Zn 2.05-2.15, 2 Mo 2.17-2.18
O (0.5133, 0.0263, 0.7453) [1 per cell]  2 Zn 2.06-2.17, 2 Mo 2.16
O (0.6533, 0.8288, 0.4192) [1 per cell]  1 Zn 2.07, 3 Mo 2.17-2.20
O (0.6664, 0.3325, 0.4219) [1 per cell]  1 Zn 2.08, 3 Mo 2.18-2.19
O (0.6743, 0.3409, 0.9069) [1 per cell]  1 Zn 2.11, 3 Mo 2.16-2.19
O (0.6916, 0.8614, 0.9054) [1 per cell]  3 Mo 2.08-2.19, 1 Zn 2.20
O (0.8232, 0.1376, 0.0843) [1 per cell]  2 Zn 2.04-2.15, 2 Mo 2.16
O (0.8229, 0.6400, 0.5864) [1 per cell]  3 Mo 2.10-2.18, 1 Zn 2.14
O (0.8317, 0.6790, 0.0785) [1 per cell]  2 Zn 2.04-2.21, 2 Mo 2.16
O (0.8494, 0.2014, 0.5739) [1 per cell]  3 Mo 2.10-2.17, 1 Zn 2.25
O (0.9868, 0.4869, 0.7525) [1 per cell]  2 Zn 2.05-2.13, 2 Mo 2.16-2.18
O (0.9903, 0.9779, 0.7562) [1 per cell]  4 Mo 2.10-2.20
O (0.9959, 0.9989, 0.2394) [1 per cell]  1 Zn 2.04, 3 Mo 2.17-2.18

***

(2)
## ZnMo2O4 (PBE+U)

Data for ZnMo2O4 after structural relaxation.

Calculated values
Calculated formation energy   -1.63 eV/atom
Polymorph energy (0 for the lowest one)   0.145 eV per atom

Lattice parameters (Å, degrees): 9.6591 3.1615 11.0029 90.00 90.00 90.00
With the nearest neighbours (Å) after each atom.
Space group Pnma (No. 62)
Symmetry-distinct sites (fractional):
Zn (0.2472, 0.2500, 0.1522) [4 per cell]  5 O 2.15-2.34
Mo (0.0470, 0.2500, 0.3769) [4 per cell]  6 O 2.12-2.21
Mo (0.1061, 0.2500, 0.9022) [4 per cell]  6 O 2.10-2.26
O (0.0830, 0.7500, 0.7787) [4 per cell]  3 Mo 2.10-2.12, 1 Zn 2.15
O (0.1006, 0.2500, 0.5690) [4 per cell]  3 Mo 2.18-2.21, 2 Zn 2.34
O (0.1157, 0.7500, 0.0481) [4 per cell]  3 Mo 2.21-2.26, 2 Zn 2.33
O (0.1859, 0.7500, 0.3240) [4 per cell]  3 Mo 2.15-2.19

***

(3)
## ZnMo2O4 (PBE+U)

Data for ZnMo2O4 after structural relaxation.

Calculated values
Calculated formation energy   -1.58 eV/atom
Polymorph energy (0 for the lowest one)   0.203 eV per atom

Lattice parameters (Å, degrees): 6.0281 6.1586 9.6271 90.00 90.00 90.00
With the nearest neighbours (Å) after each atom.
Space group Imma (No. 74)
Symmetry-distinct sites (fractional):
Zn (0.2500, 0.2500, 0.2500) [4 per cell]  6 O 2.16-2.17
Mo (0.0000, 0.0000, 0.0000) [4 per cell]  6 O 2.16-2.18
Mo (0.0000, 0.2500, 0.6293) [4 per cell]  4 O 2.09-2.11
O (0.0000, 0.0006, 0.7760) [8 per cell]  2 Mo 2.09-2.16, 2 Zn 2.17
O (0.2483, 0.2500, 0.4747) [8 per cell]  3 Mo 2.11-2.18, 1 Zn 2.16

***

(4)
## ZnMo2O4 (PBE+U)

Data for ZnMo2O4 after structural relaxation.

Calculated values
Calculated formation energy   -1.62 eV/atom
Polymorph energy (0 for the lowest one)   0.159 eV per atom

Lattice parameters (Å, degrees): 6.4374 10.4636 5.5283 90.00 90.00 90.00
With the nearest neighbours (Å) after each atom.
Space group Pmmn (No. 59, origin choice 2)
Symmetry-distinct sites (fractional):
Zn (0.2500, 0.2500, 0.0494) [2 per cell]  2 O 2.10
Zn (0.2500, 0.7500, 0.3621) [2 per cell]  2 O 2.04
Mo (0.0000, 0.0000, 0.5000) [4 per cell]  6 O 2.12-2.21
Mo (0.2500, 0.5205, 0.9834) [4 per cell]  6 O 2.13-2.24
O (0.0070, 0.1120, 0.8353) [8 per cell]  3 Mo 2.16-2.24
O (0.2500, 0.0981, 0.2975) [4 per cell]  1 Zn 2.10, 3 Mo 2.13-2.21
O (0.2500, 0.6139, 0.6275) [4 per cell]  1 Zn 2.04, 3 Mo 2.12-2.20

***

(5)
## ZnMo2O4 (PBE+U)

Data for ZnMo2O4 after structural relaxation.

Calculated values
Calculated formation energy   -1.71 eV/atom
Polymorph energy (0 for the lowest one)   0.072 eV per atom

Lattice parameters (Å, degrees): 8.9590 8.9590 8.9590 90.00 90.00 90.00
With the nearest neighbours (Å) after each atom.
Space group Fd-3m (No. 227, origin choice 2)
Symmetry-distinct sites (fractional):
Zn (0.1250, 0.1250, 0.1250) [8 per cell]  4 O 2.05
Mo (0.0000, 0.0000, 0.5000) [16 per cell]  6 O 2.18
O (0.0070, 0.0070, 0.7430) [32 per cell]  1 Zn 2.05, 3 Mo 2.18

***

(6)
## ZrMo2O8 (PBE+U)

Data for ZrMo2O8 after structural relaxation.

Calculated values
Calculated formation energy   -2.47 eV/atom
Polymorph energy (0 for the lowest one)   0.001 eV per atom

Lattice parameters (Å, degrees): 6.0033 7.4364 9.3340 90.00 90.00 90.00
With the nearest neighbours (Å) after each atom.
Space group Pmn2_1 (No. 31)
Symmetry-distinct sites (fractional):
Zr (0.0000, 0.2379, 0.0000) [2 per cell]  6 O 2.08-2.14
Mo (0.0000, 0.0764, 0.3996) [2 per cell]  4 O 1.74-1.82
Mo (0.0000, 0.5453, 0.6767) [2 per cell]  4 O 1.72-1.84
O (0.0000, 0.1199, 0.2093) [2 per cell]  1 Mo 1.81
O (0.0000, 0.2783, 0.4930) [2 per cell]  1 Mo 1.74
O (0.0000, 0.3464, 0.7948) [2 per cell]  1 Mo 1.84
O (0.0000, 0.7216, 0.7961) [2 per cell]  1 Mo 1.72
O (0.2441, 0.9451, 0.4480) [4 per cell]  1 Mo 1.82
O (0.2451, 0.4174, 0.0736) [4 per cell]  1 Mo 1.83